1.
A geometry-optimized Li2PWO4F structure, computed with PBE with a Hubbard U.

Values from the calculation:
Space group ... No. 1
DFT formation energy ... -2.29 eV/atom
E_tot ... -6.316 eV per atom
Theoretical density ... 4.6 Mg/m³
Energy above the lowest structure with this stoichiometry ... 5 meV per atom

a = 5.2808 Å, b = 6.0307 Å, c = 7.6497 Å
α = 73.95°, β = 76.35°, γ = 83.19°
Last column: nearest neighbours and their distance in Å.
Fractional coordinates of all 18 atoms:
Li 0.0000 0.0000 0.0000  2 F 1.85-1.94, 1 O 1.91
Li 0.1097 0.1106 0.5448  1 F 1.87, 2 O 1.89-1.91
Li 0.2432 0.6800 0.8088  1 F 1.86, 1 O 2.07
Li 0.5685 0.1181 0.2457  1 F 1.84, 3 O 1.97-2.04
P 0.0587 0.4289 0.1473  4 O 1.52-1.59
P 0.7813 0.7725 0.5869  4 O 1.55-1.56
W 0.4238 0.5495 0.3833  4 O 2.19-2.23
W 0.4961 0.2489 0.7606  2 F 2.14-2.23, 3 O 2.17-2.24
O 0.0799 0.7141 0.5358  1 P 1.55
O 0.1160 0.6840 0.0851  1 P 1.52
O 0.1502 0.3233 0.9753  1 P 1.57
O 0.2236 0.3024 0.2996  1 P 1.59
O 0.6423 0.5824 0.7541  1 P 1.56
O 0.6442 0.8128 0.4197  1 P 1.56
O 0.7673 0.0068 0.6381  1 P 1.56
O 0.7672 0.3818 0.2308  1 P 1.55
F 0.2358 0.0000 0.7639  3 Li 1.86-1.94
F 0.6438 0.0579 0.0154  2 Li 1.84-1.85

2.
A geometry-optimized Li2PWO4F structure, computed with PBE with a Hubbard U.

Values from the calculation:
Space group ... No. 1
DFT formation energy ... -2.29 eV/atom
E_tot ... -6.321 eV per atom
Theoretical density ... 4.5 Mg/m³
Energy above the lowest structure with this stoichiometry ... 0 meV per atom

a = 5.3148 Å, b = 5.9666 Å, c = 7.7603 Å
α = 73.45°, β = 75.91°, γ = 82.65°
Last column: nearest neighbours and their distance in Å.
Fractional coordinates of all 18 atoms:
Li 0.0000 0.0000 0.0000  2 F 1.84-1.93, 1 O 1.94
Li 0.1390 0.0487 0.5388  1 F 1.91, 3 O 1.94-2.11
Li 0.2908 0.6711 0.8518  1 F 1.83, 2 O 1.96-1.99
Li 0.5740 0.1163 0.2432  1 F 1.84, 3 O 1.97-2.01
P 0.0625 0.4201 0.1603  4 O 1.53-1.59
P 0.7747 0.7712 0.5860  4 O 1.55-1.57
W 0.4189 0.5416 0.3903  4 O 2.17-2.23
W 0.4950 0.2431 0.7637  2 F 2.16-2.26, 3 O 2.16-2.27
O 0.0678 0.7220 0.5111  1 P 1.55
O 0.1196 0.6791 0.1036  1 P 1.53
O 0.1559 0.3222 0.9858  1 P 1.57
O 0.2289 0.2877 0.3080  1 P 1.59
O 0.6115 0.8178 0.4347  1 P 1.57
O 0.6570 0.5715 0.7558  1 P 1.56
O 0.7700 0.0029 0.6411  1 P 1.56
O 0.7721 0.3731 0.2427  1 P 1.55
F 0.2365 0.9894 0.7694  3 Li 1.83-1.93
F 0.6465 0.0523 0.0177  2 Li 1.84

3.
A geometry-optimized Li2PWO4F structure, computed with PBE with a Hubbard U.

Values from the calculation:
Space group ... No. 1
DFT formation energy ... -2.20 eV/atom
E_tot ... -6.225 eV per atom
Theoretical density ... 4.7 Mg/m³
Energy above the lowest structure with this stoichiometry ... 95 meV per atom

a = 5.5277 Å, b = 5.6252 Å, c = 7.8156 Å
α = 107.20°, β = 104.32°, γ = 97.40°
Last column: nearest neighbours and their distance in Å.
Fractional coordinates of all 18 atoms:
Li 0.0000 0.0000 0.0000  3 O 1.98-2.07, 1 F 2.02
Li 0.0348 0.8873 0.6336  2 F 1.78-1.84, 1 O 1.94
Li 0.3592 0.3233 0.0050  1 F 1.81, 2 O 1.92-1.95
Li 0.8006 0.4330 0.3275  1 F 1.83, 2 O 2.02
P 0.2022 0.2155 0.3992  4 O 1.53-1.59
P 0.8736 0.4896 0.9494  4 O 1.53-1.59
W 0.5153 0.8466 0.6756  2 F 2.19-2.29, 4 O 2.25-2.31
W 0.5425 0.8570 0.1793  4 O 2.19-2.23
O 0.1628 0.5841 0.0653  1 P 1.56
O 0.2045 0.4969 0.5019  1 P 1.55
O 0.2578 0.0613 0.5306  1 P 1.53
O 0.3844 0.1947 0.2707  1 P 1.58
O 0.7048 0.5160 0.0884  1 P 1.59
O 0.8016 0.6559 0.8290  1 P 1.53
O 0.8351 0.2004 0.8415  1 P 1.55
O 0.9230 0.1047 0.2548  1 P 1.59
F 0.2724 0.9874 0.8677  2 Li 1.81-1.84
F 0.7276 0.7160 0.4756  2 Li 1.78-1.83

4.
A geometry-optimized LiV2S2O8F6 structure, computed with PBE with a Hubbard U.

Values from the calculation:
Space group ... No. 7
DFT formation energy ... -2.32 eV/atom
E_tot ... -5.886 eV per atom
Theoretical density ... 2.4 Mg/m³

a = 7.9528 Å, b = 7.1815 Å, c = 12.6498 Å
α = 90.00°, β = 125.99°, γ = 90.00°
Last column: nearest neighbours and their distance in Å.
Fractional coordinates of all 38 atoms:
Li 0.0000 0.1085 0.0000  1 F 1.95, 1 O 1.98
Li 0.0000 0.8915 0.5000  1 F 1.95, 1 O 1.98
V 0.6295 0.2538 0.7106  3 F 1.76-1.96, 1 O 1.93
V 0.6295 0.7462 0.2106  3 F 1.76-1.96, 1 O 1.93
V 0.6427 0.2463 0.2213  4 F 1.77-1.98, 2 O 1.84-1.86
V 0.6427 0.7537 0.7213  4 F 1.77-1.98, 2 O 1.84-1.86
S 0.3112 0.4840 0.2213  3 O 1.42-1.54
S 0.3112 0.5160 0.7213  3 O 1.42-1.54
S 0.9894 0.0116 0.2349  3 O 1.43-1.52
S 0.9894 0.9884 0.7349  3 O 1.43-1.52
O 0.0008 0.0459 0.6296  1 S 1.45
O 0.0008 0.9541 0.1296  1 S 1.45
O 0.1399 0.3789 0.1140  1 S 1.45
O 0.1399 0.6211 0.6140  1 S 1.45
O 0.1658 0.1044 0.3448  1 S 1.43
O 0.1658 0.8956 0.8448  1 S 1.43
O 0.2964 0.4470 0.8211  1 S 1.42
O 0.2964 0.5530 0.3211  1 S 1.42
O 0.3722 0.3580 0.6672  1 S 1.54
O 0.3722 0.6420 0.1672  1 S 1.54
O 0.5120 0.3522 0.2891  1 S 1.60
O 0.5120 0.6478 0.7891  1 S 1.60
O 0.7939 0.1523 0.1656  1 S 1.61
O 0.7939 0.8477 0.6656  1 S 1.61
O 0.9171 0.1444 0.7802  1 S 1.52
O 0.9171 0.8556 0.2802  1 S 1.52
F 0.4148 0.2664 0.0595  1 V 1.77
F 0.4148 0.7336 0.5595  1 V 1.77
F 0.5292 0.0036 0.7097  2 V 1.96-1.98
F 0.5292 0.9964 0.2097  2 V 1.96-1.98
F 0.5591 0.2280 0.5513  1 V 1.76
F 0.5591 0.7720 0.0513  1 V 1.76
F 0.7376 0.4911 0.2204  2 V 1.92-2.00
F 0.7376 0.5089 0.7204  2 V 1.92-2.00
F 0.7516 0.2590 0.8865  1 V 1.83, 1 Li 1.95
F 0.7516 0.7410 0.3865  1 V 1.83, 1 Li 1.95
F 0.8510 0.1797 0.3854  1 V 1.80
F 0.8510 0.8203 0.8854  1 V 1.80

5.
A geometry-optimized Li2VSO4F3 structure, computed with PBE with a Hubbard U.

Values from the calculation:
Space group ... No. 14
DFT formation energy ... -2.56 eV/atom
E_tot ... -5.895 eV per atom
Theoretical density ... 2.6 Mg/m³

a = 7.0908 Å, b = 10.0418 Å, c = 7.8872 Å
α = 90.00°, β = 90.89°, γ = 90.00°
Last column: nearest neighbours and their distance in Å.
Fractional coordinates of all 44 atoms:
Li 0.2332 0.2238 0.3850  1 F 1.97, 1 O 2.02
Li 0.2332 0.2762 0.8850  1 F 1.97, 1 O 2.02
Li 0.2596 0.7232 0.8932  1 F 1.93, 1 O 2.03
Li 0.2596 0.7768 0.3932  1 F 1.93, 1 O 2.03
Li 0.7404 0.2232 0.6068  1 F 1.93, 1 O 2.03
Li 0.7404 0.2768 0.1068  1 F 1.93, 1 O 2.03
Li 0.7668 0.7238 0.1150  1 F 1.97, 1 O 2.02
Li 0.7668 0.7762 0.6150  1 F 1.97, 1 O 2.02
V 0.0000 0.0000 0.0000  4 F 1.92-1.98, 2 O 2.07
V 0.0000 0.5000 0.5000  4 F 1.92-1.98, 2 O 2.07
V 0.5000 0.0000 0.0000  4 F 1.93-2.02, 2 O 2.04
V 0.5000 0.5000 0.5000  4 F 1.93-2.02, 2 O 2.04
S 0.2461 0.0010 0.6664  4 O 1.46-1.53
S 0.2461 0.4990 0.1664  4 O 1.46-1.53
S 0.7539 0.5010 0.8336  4 O 1.46-1.53
S 0.7539 0.9990 0.3336  4 O 1.46-1.53
O 0.1169 0.0786 0.7828  1 S 1.52
O 0.1169 0.4214 0.2828  1 S 1.52
O 0.1444 0.6010 0.0677  1 S 1.47
O 0.1444 0.8990 0.5677  1 S 1.47
O 0.3424 0.0982 0.5611  1 S 1.46
O 0.3424 0.4018 0.0611  1 S 1.46
O 0.3842 0.5747 0.2820  1 S 1.53
O 0.3842 0.9253 0.7820  1 S 1.53
O 0.6158 0.0747 0.2180  1 S 1.53
O 0.6158 0.4253 0.7180  1 S 1.53
O 0.6576 0.5982 0.9389  1 S 1.46
O 0.6576 0.9018 0.4389  1 S 1.46
O 0.8556 0.1010 0.4323  1 S 1.47
O 0.8556 0.3990 0.9323  1 S 1.47
O 0.8831 0.5786 0.7172  1 S 1.52
O 0.8831 0.9214 0.2172  1 S 1.52
F 0.0264 0.6794 0.4180  1 V 1.92, 1 Li 1.93
F 0.0264 0.8206 0.9180  1 V 1.92, 1 Li 1.93
F 0.2488 0.5027 0.6168  2 V 1.98-2.02
F 0.2488 0.9973 0.1168  2 V 1.98-2.02
F 0.4723 0.1809 0.9220  1 V 1.93, 1 Li 1.97
F 0.4723 0.3191 0.4220  1 V 1.93, 1 Li 1.97
F 0.5277 0.6809 0.5780  1 V 1.93, 1 Li 1.97
F 0.5277 0.8191 0.0780  1 V 1.93, 1 Li 1.97
F 0.7512 0.0027 0.8832  2 V 1.98-2.02
F 0.7512 0.4973 0.3832  2 V 1.98-2.02
F 0.9736 0.1794 0.0820  1 V 1.92, 1 Li 1.93
F 0.9736 0.3206 0.5820  1 V 1.92, 1 Li 1.93

6.
A geometry-optimized LiV2OF5 structure, computed with PBE with a Hubbard U.

Values from the calculation:
DFT formation energy ... -3.04 eV/atom
E_tot ... -6.178 eV per atom
Theoretical density ... 3.3 Mg/m³
Energy above the lowest structure with this stoichiometry ... 17 meV per atom

a = 5.2987 Å, b = 5.5557 Å, c = 7.4995 Å
α = 95.59°, β = 90.56°, γ = 89.87°
Last column: nearest neighbours and their distance in Å.
Fractional coordinates of all 18 atoms:
Li 0.4750 0.2231 0.1359  1 O 2.00, 4 F 2.00-2.16
Li 0.9750 0.7231 0.6358  1 O 2.00, 4 F 2.00-2.16
V 0.5036 0.8161 0.8281  1 O 1.86, 4 F 1.97-2.05
V 0.5054 0.8128 0.3577  1 O 1.86, 4 F 1.99-2.07
V 0.0036 0.3161 0.3282  1 O 1.86, 4 F 1.97-2.05
V 0.0054 0.3128 0.8576  1 O 1.86, 4 F 1.99-2.07
O 0.1155 0.3125 0.0937  2 V 1.86, 1 Li 2.00
O 0.6155 0.8125 0.5937  2 V 1.86, 1 Li 2.00
F 0.9079 0.3384 0.5926  2 V 2.04-2.07, 1 Li 2.16
F 0.4079 0.8385 0.0925  2 V 2.04-2.07, 1 Li 2.16
F 0.1671 0.9936 0.7697  1 Li 2.00, 2 V 2.02-2.10
F 0.6670 0.4937 0.2696  1 Li 2.00, 2 V 2.02-2.10
F 0.3056 0.5156 0.7909  2 V 1.97-2.05
F 0.8057 0.0156 0.2908  2 V 1.97-2.05
F 0.3241 0.1291 0.3842  2 V 1.99-2.05, 1 Li 2.14
F 0.8240 0.6291 0.8842  2 V 1.99-2.05, 1 Li 2.15
F 0.6715 0.1369 0.9124  1 Li 2.00, 2 V 2.04-2.09
F 0.1715 0.6370 0.4125  1 Li 2.00, 2 V 2.04-2.09

Which value of E_tot does entry 4 give? -5.886 eV per atom

Copy entry 2 word for word.
A geometry-optimized Li2PWO4F structure, computed with PBE with a Hubbard U.

Values from the calculation:
Space group ... No. 1
DFT formation energy ... -2.29 eV/atom
E_tot ... -6.321 eV per atom
Theoretical density ... 4.5 Mg/m³
Energy above the lowest structure with this stoichiometry ... 0 meV per atom

a = 5.3148 Å, b = 5.9666 Å, c = 7.7603 Å
α = 73.45°, β = 75.91°, γ = 82.65°
Last column: nearest neighbours and their distance in Å.
Fractional coordinates of all 18 atoms:
Li 0.0000 0.0000 0.0000  2 F 1.84-1.93, 1 O 1.94
Li 0.1390 0.0487 0.5388  1 F 1.91, 3 O 1.94-2.11
Li 0.2908 0.6711 0.8518  1 F 1.83, 2 O 1.96-1.99
Li 0.5740 0.1163 0.2432  1 F 1.84, 3 O 1.97-2.01
P 0.0625 0.4201 0.1603  4 O 1.53-1.59
P 0.7747 0.7712 0.5860  4 O 1.55-1.57
W 0.4189 0.5416 0.3903  4 O 2.17-2.23
W 0.4950 0.2431 0.7637  2 F 2.16-2.26, 3 O 2.16-2.27
O 0.0678 0.7220 0.5111  1 P 1.55
O 0.1196 0.6791 0.1036  1 P 1.53
O 0.1559 0.3222 0.9858  1 P 1.57
O 0.2289 0.2877 0.3080  1 P 1.59
O 0.6115 0.8178 0.4347  1 P 1.57
O 0.6570 0.5715 0.7558  1 P 1.56
O 0.7700 0.0029 0.6411  1 P 1.56
O 0.7721 0.3731 0.2427  1 P 1.55
F 0.2365 0.9894 0.7694  3 Li 1.83-1.93
F 0.6465 0.0523 0.0177  2 Li 1.84

Which of these has the lowest DFT formation energy? LiV2OF5

Please write out number 2 again, unchanged.
A geometry-optimized Li2PWO4F structure, computed with PBE with a Hubbard U.

Values from the calculation:
Space group ... No. 1
DFT formation energy ... -2.29 eV/atom
E_tot ... -6.321 eV per atom
Theoretical density ... 4.5 Mg/m³
Energy above the lowest structure with this stoichiometry ... 0 meV per atom

a = 5.3148 Å, b = 5.9666 Å, c = 7.7603 Å
α = 73.45°, β = 75.91°, γ = 82.65°
Last column: nearest neighbours and their distance in Å.
Fractional coordinates of all 18 atoms:
Li 0.0000 0.0000 0.0000  2 F 1.84-1.93, 1 O 1.94
Li 0.1390 0.0487 0.5388  1 F 1.91, 3 O 1.94-2.11
Li 0.2908 0.6711 0.8518  1 F 1.83, 2 O 1.96-1.99
Li 0.5740 0.1163 0.2432  1 F 1.84, 3 O 1.97-2.01
P 0.0625 0.4201 0.1603  4 O 1.53-1.59
P 0.7747 0.7712 0.5860  4 O 1.55-1.57
W 0.4189 0.5416 0.3903  4 O 2.17-2.23
W 0.4950 0.2431 0.7637  2 F 2.16-2.26, 3 O 2.16-2.27
O 0.0678 0.7220 0.5111  1 P 1.55
O 0.1196 0.6791 0.1036  1 P 1.53
O 0.1559 0.3222 0.9858  1 P 1.57
O 0.2289 0.2877 0.3080  1 P 1.59
O 0.6115 0.8178 0.4347  1 P 1.57
O 0.6570 0.5715 0.7558  1 P 1.56
O 0.7700 0.0029 0.6411  1 P 1.56
O 0.7721 0.3731 0.2427  1 P 1.55
F 0.2365 0.9894 0.7694  3 Li 1.83-1.93
F 0.6465 0.0523 0.0177  2 Li 1.84